(1)
A plane-wave DFT calculation with PBE with a Hubbard U was carried out for an optimized crystal structure of BaCoP2O7.

Cell lengths 5.3813, 7.5122, 7.6853 Å; angles 102.98, 91.76, 93.91 degrees
With the nearest neighbours (Å) after each atom.
Fractional positions:
O: 0.2890 0.1532 0.9238  1 P 1.52
O: 0.7110 0.8468 0.0762  1 P 1.52
O: 0.8926 0.6540 0.5911  1 P 1.57
O: 0.2679 0.1302 0.5893  2 P 1.63
O: 0.2182 0.0276 0.2533  1 P 1.50
O: 0.5643 0.2733 0.3970  1 P 1.55
O: 0.7321 0.8698 0.4107  2 P 1.63
O: 0.7817 0.9724 0.7467  1 P 1.50
O: 0.9321 0.6123 0.2005  1 P 1.55
O: 0.0679 0.3877 0.7995  1 P 1.55
O: 0.5430 0.3872 0.7967  1 P 1.54
O: 0.4357 0.7267 0.6030  1 P 1.55
O: 0.1074 0.3460 0.4089  1 P 1.57
O: 0.4570 0.6128 0.2033  1 P 1.54
P: 0.7067 0.8078 0.5994  4 O 1.50-1.63
P: 0.7053 0.7302 0.2147  4 O 1.52-1.63
P: 0.2933 0.1922 0.4006  4 O 1.50-1.63
P: 0.2947 0.2698 0.7853  4 O 1.52-1.63
Ba: 0.7921 0.2225 0.0668  9 O 2.74-3.01
Ba: 0.2079 0.7775 0.9332  9 O 2.74-3.01
Co: 0.8003 0.3895 0.6057  4 O 2.01-2.05
Co: 0.1997 0.6105 0.3943  4 O 2.01-2.05

Values from the calculation:
- Crystal system: triclinic
- SG: P-1 (2)

=====

(2)
A plane-wave DFT calculation with PBE with a Hubbard U was carried out for an optimized crystal structure of Ba6Pr2Co4O15.

Cell lengths 7.1149, 11.9312, 11.9834 Å; angles 119.54, 90.63, 90.17 degrees
With the nearest neighbours (Å) after each atom.
Fractional positions:
O: 0.0214 0.0622 0.6750  1 Co 1.89
O: 0.7564 0.8924 0.8132  1 Co 1.81
O: 0.1763 0.5849 0.4200  1 Co 2.00
O: 0.8548 0.4975 0.2619  2 Co 1.97-2.09
O: 0.0626 0.3288 0.9365  1 Co 1.86
O: 0.3532 0.5060 0.7466  1 Co 1.95
O: 0.1648 0.8173 0.4093  1 Co 1.89
O: 0.2654 0.8109 0.8913  1 Co 1.80
O: 0.1877 0.5855 0.1715  1 Co 2.03
O: 0.3416 0.2564 0.7579  1 Co 1.92
O: 0.0173 0.0690 0.3920  1 Co 1.93
O: 0.6794 0.4170 0.5811  1 Co 1.98
O: 0.6852 0.1737 0.5846  1 Co 1.97
O: 0.5512 0.6623 0.6016  1 Co 1.92
O: 0.2616 0.0883 0.8992  1 Co 1.83
O: 0.3476 0.2606 0.4955  1 Co 1.94
O: 0.0485 0.5997 0.6624  1 Co 1.94
O: 0.5607 0.9328 0.3298  1 Co 1.89
O: 0.5210 0.6768 0.0651  1 Co 1.84
O: 0.0371 0.3333 0.3988  1 Co 1.85
O: 0.7677 0.9042 0.0974  1 Co 1.81
O: 0.5378 0.4022 0.3316  1 Co 1.84
O: 0.0581 0.6019 0.9277  1 Co 1.81
O: 0.5608 0.9330 0.6060  1 Co 1.82
O: 0.8477 0.7493 0.5060  1 Co 1.94
O: 0.6619 0.4135 0.8242  1 Co 1.85
O: 0.8444 0.7572 0.2593  2 Co 1.98-2.18
O: 0.7689 0.1989 0.0902  1 Co 1.81
O: 0.5194 0.3937 0.0701  1 Co 1.93
O: 0.2629 0.0919 0.1956  1 Co 1.82
Ba: 0.6758 0.1738 0.8201  6 O 2.81-3.07
Ba: 0.9971 0.3341 0.6626  6 O 2.76-3.08
Ba: 0.0007 0.0015 0.0005  6 O 2.60-2.75
Ba: 0.1762 0.3537 0.1745  7 O 2.75-3.05
Ba: 0.4875 0.6657 0.3340  3 O 2.71-2.81
Ba: 0.4992 0.0037 0.0037  6 O 2.58-2.78
Ba: 0.6746 0.6522 0.8221  6 O 2.73-3.00
Ba: 0.1708 0.8224 0.1786  6 O 2.78-3.01
Ba: 0.3344 0.0468 0.5205  8 O 2.59-2.86
Ba: 0.8376 0.5220 0.0498  8 O 2.59-2.87
Ba: 0.6753 0.1707 0.3529  6 O 2.76-3.06
Ba: 0.1739 0.8242 0.6501  6 O 2.75-3.03
Pr: 0.8458 0.5267 0.4798  7 O 2.38-2.65
Pr: 0.8393 0.9504 0.4742  8 O 2.44-2.71
Pr: 0.3381 0.4734 0.9528  8 O 2.41-2.69
Pr: 0.3443 0.4801 0.5257  7 O 2.39-2.68
Co: 0.1653 0.1826 0.3550  4 O 1.82-1.94
Co: 0.1775 0.6483 0.8233  4 O 1.80-1.95
Co: 0.0277 0.6606 0.3314  4 O 1.89-2.09
Co: 0.1715 0.1743 0.8193  4 O 1.83-1.92
Co: 0.6690 0.8165 0.1706  4 O 1.81-1.98
Co: 0.6679 0.3568 0.1834  4 O 1.81-1.97
Co: 0.6754 0.8226 0.6480  4 O 1.81-1.94
Co: 0.5427 0.3353 0.6655  3 O 1.85-1.98

Values from the calculation:
- Crystal system: triclinic
- SG: P1 (1)

=====

(3)
A plane-wave DFT calculation with PBE with a Hubbard U was carried out for an optimized crystal structure of Ba2Pr3Co5O15.

Cell lengths 8.6844, 8.7703, 8.8396 Å; angles 89.27, 114.27, 101.79 degrees
With the nearest neighbours (Å) after each atom.
Fractional positions:
O: 0.2741 0.0550 0.6069  2 Co 1.97-2.02
O: 0.9920 0.0938 0.7136  2 Co 1.88-2.04
O: 0.7337 0.7491 0.9861  2 Co 1.94-2.03
O: 0.0115 0.7179 0.9085  2 Co 1.85-2.06
O: 0.4890 0.8019 0.0944  2 Co 1.84-1.98
O: 0.2644 0.1530 0.2955  2 Co 1.91-1.99
O: 0.7301 0.6545 0.2848  2 Co 1.86-2.05
O: 0.7259 0.9450 0.3931  2 Co 1.97-2.02
O: 0.0000 0.5000 0.5000  2 Co 1.92
O: 0.2725 0.4475 0.4075  2 Co 1.95-2.03
O: 0.2611 0.9674 0.9087  2 Co 1.86-2.06
O: 0.7356 0.8470 0.7045  2 Co 1.91-1.99
O: 0.5054 0.4001 0.3019  2 Co 1.90-1.94
O: 0.7389 0.0326 0.0913  2 Co 1.86-2.06
O: 0.7357 0.1358 0.7989  2 Co 1.98-1.99
O: 0.5110 0.1981 0.9056  2 Co 1.84-1.98
O: 0.5000 0.0000 0.5000  2 Co 1.93
O: 0.2643 0.8642 0.2011  2 Co 1.98-1.99
O: 0.2726 0.7544 0.5034  2 Co 1.95-1.99
O: 0.2699 0.3455 0.7152  2 Co 1.86-2.05
O: 0.2663 0.2509 0.0139  2 Co 1.94-2.03
O: 0.4946 0.5999 0.6981  2 Co 1.90-1.94
O: 0.7273 0.4499 0.8873  2 Co 1.92-2.01
O: 0.2702 0.6551 0.8089  2 Co 1.99-2.00
O: 0.7298 0.3449 0.1911  2 Co 1.99-2.00
O: 0.0080 0.9062 0.2864  2 Co 1.88-2.04
O: 0.7274 0.2456 0.4966  2 Co 1.95-1.99
O: 0.7275 0.5525 0.5925  2 Co 1.95-2.03
O: 0.9885 0.2821 0.0915  2 Co 1.85-2.06
O: 0.2727 0.5501 0.1127  2 Co 1.92-2.01
Co: 0.2549 0.1513 0.8025  6 O 1.86-2.04
Co: 0.2505 0.7503 0.0012  6 O 1.84-2.06
Co: 0.2504 0.9506 0.3995  6 O 1.88-1.99
Co: 0.2539 0.3502 0.2022  6 O 1.91-2.06
Co: 0.7495 0.2497 0.9988  6 O 1.84-2.06
Co: 0.2490 0.5492 0.5995  6 O 1.90-2.05
Co: 0.7510 0.4508 0.4005  6 O 1.90-2.05
Co: 0.7461 0.6498 0.7978  6 O 1.91-2.06
Co: 0.7496 0.0494 0.6005  6 O 1.88-1.99
Co: 0.7451 0.8487 0.1975  6 O 1.86-2.04
Pr: 0.0000 0.0000 0.0000  12 O 2.63-2.81
Pr: 0.5019 0.3025 0.5981  12 O 2.58-2.83
Pr: 0.5000 0.5000 0.0000  12 O 2.64-2.82
Pr: 0.4980 0.1033 0.2038  12 O 2.59-2.83
Pr: 0.5020 0.8967 0.7962  12 O 2.59-2.83
Pr: 0.4981 0.6975 0.4019  12 O 2.58-2.83
Ba: 0.9985 0.1981 0.4008  12 O 2.79-2.92
Ba: 0.0006 0.5986 0.1986  12 O 2.79-2.91
Ba: 0.0015 0.8019 0.5992  12 O 2.79-2.92
Ba: 0.9994 0.4014 0.8014  12 O 2.79-2.91

Values from the calculation:
- Crystal system: triclinic
- SG: P-1 (2)

=====

no.,VASP energy (eV for the cell shown)
1,-156.72
2,-349.60
3,-331.26